(1)
# HoCuGe

Crystalline HoCuGe at its relaxed geometry (PBE-GGA, the Materials Project database).

Calculated density (g cm⁻³): 8.9
Uncorrected energy (Ry per atom): -0.3728
Space-group type: P-6m2
Magnetic moment (μB per cell): 0.0
Volume (Å³ per cell): 56.35
DFT formation energy (eV per atom): -0.6368

Cell lengths 4.212, 4.212, 3.668 Å; angles 90.00, 90.00, 120.00 degrees
Positions (direct):
Ho1 0.000 0.000 0.000
Cu1 0.333 0.667 0.500
Ge1 0.667 0.333 0.500

***

(2)
# Ho3Cu4Ge4

Crystalline Ho3Cu4Ge4 at its relaxed geometry (PBE-GGA, the Materials Project database).

Calculated density (g cm⁻³): 8.9
Uncorrected energy (Ry per atom): -0.3711
Space-group type: Immm
Volume (Å³ per cell): 193.25
DFT formation energy (eV per atom): -0.6271

Cell lengths 7.978, 7.978, 7.978 Å; angles 149.60, 130.71, 59.02 degrees
Positions (direct):
Ho1 0.000 0.000 0.000
Ho2 0.370 0.870 0.500
Ho3 0.630 0.130 0.500
Cu1 0.021 0.331 0.690
Cu2 0.359 0.669 0.690
Cu3 0.641 0.331 0.310
Cu4 0.979 0.669 0.310
Ge1 0.217 0.217 0.000
Ge2 0.308 0.500 0.808
Ge3 0.692 0.500 0.192
Ge4 0.783 0.783 0.000